VASP calculation (meta-GGA r2SCAN) on crystalline MgV2O6 at its relaxed geometry.

## Properties
**Energy relative to the lowest polymorph listed for this composition**: 3.5 meV/atom
**Symmetry**: Pbcn
**Energy relative to the elements**: -254.1 kJ per mole of atoms
**Crystal system**: orthorhombic

Cell lengths 13.592, 5.568, 4.805 Å; angles 90.00, 90.00, 90.00 degrees
Sites, in units of the cell vectors:
Mg1 0.000 0.184 0.250
Mg2 0.000 0.816 0.750
Mg3 0.500 0.316 0.750
Mg4 0.500 0.684 0.250
V1 0.163 0.316 0.743
V2 0.163 0.684 0.243
V3 0.337 0.184 0.243
V4 0.337 0.816 0.743
V5 0.663 0.184 0.257
V6 0.663 0.816 0.757
V7 0.837 0.316 0.757
V8 0.837 0.684 0.257
O1 0.083 0.120 0.601
O2 0.083 0.880 0.101
O3 0.099 0.401 0.048
O4 0.099 0.599 0.548
O5 0.246 0.363 0.402
O6 0.246 0.637 0.902
O7 0.254 0.137 0.902
O8 0.254 0.863 0.402
O9 0.401 0.099 0.548
O10 0.401 0.901 0.048
O11 0.417 0.380 0.101
O12 0.417 0.620 0.601
O13 0.583 0.380 0.399
O14 0.583 0.620 0.899
O15 0.599 0.099 0.952
O16 0.599 0.901 0.452
O17 0.746 0.137 0.598
O18 0.746 0.863 0.098
O19 0.754 0.363 0.098
O20 0.754 0.637 0.598
O21 0.901 0.401 0.452
O22 0.901 0.599 0.952
O23 0.917 0.120 0.899
O24 0.917 0.880 0.399

VASP calculation (meta-GGA r2SCAN) on crystalline Mg3V2O8 at its relaxed geometry.

## Properties
**Energy relative to the lowest polymorph listed for this composition**: 18.8 meV/atom
**Symmetry**: R-3m
**Energy relative to the elements**: -270.9 kJ per mole of atoms
**Crystal system**: trigonal

Cell lengths 5.739, 5.739, 5.739 Å; angles 62.98, 62.98, 62.98 degrees
Sites, in units of the cell vectors:
Mg1 0.000 0.500 0.500
Mg2 0.500 0.000 0.500
Mg3 0.500 0.500 0.000
V1 0.124 0.124 0.124
V2 0.876 0.876 0.876
O1 0.228 0.763 0.763
O2 0.237 0.237 0.772
O3 0.237 0.772 0.237
O4 0.256 0.256 0.256
O5 0.744 0.744 0.744
O6 0.763 0.228 0.763
O7 0.763 0.763 0.228
O8 0.772 0.237 0.237

VASP calculation (meta-GGA r2SCAN) on crystalline MgWO4 at its relaxed geometry.

## Properties
**Symmetry**: P2/c
**Energy relative to the elements**: -254.9 kJ per mole of atoms
**Crystal system**: monoclinic

Cell lengths 4.685, 5.690, 4.939 Å; angles 90.00, 90.55, 90.00 degrees
Sites, in units of the cell vectors:
Mg1 0.000 0.169 0.250
Mg2 0.000 0.831 0.750
W1 0.500 0.319 0.750
W2 0.500 0.681 0.250
O1 0.242 0.123 0.600
O2 0.242 0.877 0.100
O3 0.284 0.392 0.065
O4 0.284 0.608 0.565
O5 0.716 0.392 0.435
O6 0.716 0.608 0.935
O7 0.758 0.123 0.900
O8 0.758 0.877 0.400

VASP calculation (meta-GGA r2SCAN) on crystalline Y2MgZrO6 at its relaxed geometry.

## Properties
**Symmetry**: Fm-3m
**Energy relative to the elements**: -308.1 kJ per mole of atoms
**Crystal system**: cubic

Cell lengths 5.587, 5.587, 5.587 Å; angles 60.00, 60.00, 60.00 degrees
Sites, in units of the cell vectors:
Y1 0.250 0.250 0.250
Y2 0.750 0.750 0.750
Mg1 0.000 0.000 0.000
Zr1 0.500 0.500 0.500
O1 0.245 0.245 0.755
O2 0.245 0.755 0.245
O3 0.245 0.755 0.755
O4 0.755 0.245 0.245
O5 0.755 0.245 0.755
O6 0.755 0.755 0.245

VASP calculation (meta-GGA r2SCAN) on crystalline YbMgO3 at its relaxed geometry.

## Properties
**Symmetry**: Pm-3m
**Energy relative to the elements**: -241.6 kJ per mole of atoms
**Crystal system**: cubic

Cell lengths 3.779, 3.779, 3.779 Å; angles 90.00, 90.00, 90.00 degrees
Sites, in units of the cell vectors:
Yb1 0.000 0.000 0.000
Mg1 0.500 0.500 0.500
O1 0.000 0.500 0.500
O2 0.500 0.000 0.500
O3 0.500 0.500 0.000

VASP calculation (meta-GGA r2SCAN) on crystalline Tm2MgOs at its relaxed geometry.

## Properties
**Symmetry**: Fm-3m
**Energy relative to the elements**: -24.7 kJ per mole of atoms
**Crystal system**: cubic

Cell lengths 4.907, 4.907, 4.907 Å; angles 60.00, 60.00, 60.00 degrees
Sites, in units of the cell vectors:
Tm1 0.250 0.250 0.250
Tm2 0.750 0.750 0.750
Mg1 0.000 0.000 0.000
Os1 0.500 0.500 0.500